A relaxed Ho3In crystal. Source: Materials Project, functional r²SCAN.

a = 6.7911 Å, b = 6.7911 Å, c = 5.5947 Å
α = 90.00°, β = 90.00°, γ = 120.00°
With the nearest neighbours (Å) after each atom.
Atoms (fractional coordinates):
Ho 0.1711 0.3422 0.2500  8 Ho 3.30-3.49, 4 In 3.39-3.40
Ho 0.1711 0.8289 0.2500  8 Ho 3.30-3.49, 4 In 3.39-3.40
Ho 0.3422 0.1711 0.7500  8 Ho 3.30-3.49, 4 In 3.39-3.40
Ho 0.6578 0.8289 0.2500  8 Ho 3.30-3.49, 4 In 3.39-3.40
Ho 0.8289 0.1711 0.7500  8 Ho 3.30-3.49, 4 In 3.39-3.40
Ho 0.8289 0.6578 0.7500  8 Ho 3.30-3.49, 4 In 3.39-3.40
In 0.3333 0.6667 0.7500  12 Ho 3.39-3.40
In 0.6667 0.3333 0.2500  12 Ho 3.39-3.40

Output
The space group is P6_3/mmc. The energy comes out at -245.21 eV for the cell shown. The density is 9.060 g/cm³. As for the magnetic moment: 0.323 μB/atom.


A relaxed Ho3In crystal. Source: Materials Project, functional r²SCAN.

a = 4.8049 Å, b = 4.8049 Å, c = 4.8049 Å
α = 90.00°, β = 90.00°, γ = 90.00°
With the nearest neighbours (Å) after each atom.
Atoms (fractional coordinates):
Ho 0.0000 0.0000 0.5000  4 In 3.40, 8 Ho 3.40
Ho 0.0000 0.5000 0.0000  4 In 3.40, 8 Ho 3.40
Ho 0.5000 0.0000 0.0000  4 In 3.40, 8 Ho 3.40
In 0.5000 0.5000 0.5000  12 Ho 3.40

Output
The space group is Pm-3m. The energy comes out at -122.59 eV for the cell shown. The density is 9.126 g/cm³. As for the magnetic moment: 0.297 μB/atom.


A relaxed Ho4InIr crystal. Source: Materials Project, functional r²SCAN.

a = 9.5776 Å, b = 9.5776 Å, c = 9.5776 Å
α = 60.00°, β = 60.00°, γ = 60.00°
With the nearest neighbours (Å) after each atom.
Atoms (fractional coordinates):
Ho 0.1904 0.1904 0.8096  2 In 3.21, 6 Ho 3.43-3.57, 2 Ir 3.43
Ho 0.1904 0.8096 0.1904  2 In 3.21, 6 Ho 3.43-3.57, 2 Ir 3.43
Ho 0.1904 0.8096 0.8096  2 In 3.21, 6 Ho 3.43-3.57, 2 Ir 3.43
Ho 0.4012 0.4012 0.4012  3 Ir 2.82
Ho 0.4012 0.4012 0.7963  3 Ir 2.82
Ho 0.4012 0.7963 0.4012  3 Ir 2.82
Ho 0.5588 0.5588 0.9412  2 Ir 2.78
Ho 0.5588 0.9412 0.5588  2 Ir 2.78
Ho 0.5588 0.9412 0.9412  2 Ir 2.78
Ho 0.7963 0.4012 0.4012  3 Ir 2.82
Ho 0.8096 0.1904 0.1904  2 In 3.21, 6 Ho 3.43-3.57, 2 Ir 3.43
Ho 0.8096 0.1904 0.8096  2 In 3.21, 6 Ho 3.43-3.57, 2 Ir 3.43
Ho 0.8096 0.8096 0.1904  2 In 3.21, 6 Ho 3.43-3.57, 2 Ir 3.43
Ho 0.9412 0.5588 0.5588  2 Ir 2.78
Ho 0.9412 0.5588 0.9412  2 Ir 2.78
Ho 0.9412 0.9412 0.5588  2 Ir 2.78
In 0.1668 0.1668 0.1668  3 In 3.19, 9 Ho 3.21-3.45
In 0.1668 0.1668 0.4995  3 In 3.19, 9 Ho 3.21-3.45
In 0.1668 0.4995 0.1668  3 In 3.19, 9 Ho 3.21-3.45
In 0.4995 0.1668 0.1668  3 In 3.19, 9 Ho 3.21-3.45
Ir 0.1726 0.6091 0.6091  6 Ho 2.78-2.82
Ir 0.6091 0.1726 0.6091  6 Ho 2.78-2.82
Ir 0.6091 0.6091 0.1726  6 Ho 2.78-2.82
Ir 0.6091 0.6091 0.6091  6 Ho 2.78-2.82

Output
The space group is F-43m. The energy comes out at -842.67 eV for the cell shown. The density is 10.336 g/cm³. As for the magnetic moment: 0.002 μB/atom.


A relaxed LaHoIn2 crystal. Source: Materials Project, functional r²SCAN.

a = 7.6866 Å, b = 7.6866 Å, c = 7.6866 Å
α = 90.00°, β = 90.00°, γ = 90.00°
With the nearest neighbours (Å) after each atom.
Atoms (fractional coordinates):
La 0.0000 0.0000 0.0000  8 In 3.33
La 0.0000 0.5000 0.5000  8 In 3.33
La 0.5000 0.0000 0.5000  8 In 3.33
La 0.5000 0.5000 0.0000  8 In 3.33
Ho 0.0000 0.0000 0.5000  8 In 3.33
Ho 0.0000 0.5000 0.0000  8 In 3.33
Ho 0.5000 0.0000 0.0000  8 In 3.33
Ho 0.5000 0.5000 0.5000  8 In 3.33
In 0.2500 0.2500 0.2500  4 La 3.33, 4 Ho 3.33
In 0.2500 0.2500 0.7500  4 La 3.33, 4 Ho 3.33
In 0.2500 0.7500 0.2500  4 La 3.33, 4 Ho 3.33
In 0.2500 0.7500 0.7500  4 La 3.33, 4 Ho 3.33
In 0.7500 0.2500 0.2500  4 La 3.33, 4 Ho 3.33
In 0.7500 0.2500 0.7500  4 La 3.33, 4 Ho 3.33
In 0.7500 0.7500 0.2500  4 La 3.33, 4 Ho 3.33
In 0.7500 0.7500 0.7500  4 La 3.33, 4 Ho 3.33

Output
The space group is Fm-3m. The energy comes out at -440.80 eV for the cell shown. The density is 7.802 g/cm³. As for the magnetic moment: 0.000 μB/atom.


A relaxed Li2HoIn crystal. Source: Materials Project, functional r²SCAN.

a = 6.7916 Å, b = 6.7916 Å, c = 6.7916 Å
α = 90.00°, β = 90.00°, γ = 90.00°
With the nearest neighbours (Å) after each atom.
Atoms (fractional coordinates):
Li 0.2500 0.2500 0.2500  4 Ho 2.94, 4 In 2.94
Li 0.2500 0.2500 0.7500  4 In 2.94, 4 Ho 2.94
Li 0.2500 0.7500 0.2500  4 In 2.94, 4 Ho 2.94
Li 0.2500 0.7500 0.7500  4 In 2.94, 4 Ho 2.94
Li 0.7500 0.2500 0.2500  4 In 2.94, 4 Ho 2.94
Li 0.7500 0.2500 0.7500  4 In 2.94, 4 Ho 2.94
Li 0.7500 0.7500 0.2500  4 In 2.94, 4 Ho 2.94
Li 0.7500 0.7500 0.7500  4 In 2.94, 4 Ho 2.94
Ho 0.0000 0.0000 0.0000  8 Li 2.94
Ho 0.0000 0.5000 0.5000  8 Li 2.94
Ho 0.5000 0.0000 0.5000  8 Li 2.94
Ho 0.5000 0.5000 0.0000  8 Li 2.94
In 0.0000 0.0000 0.5000  8 Li 2.94
In 0.0000 0.5000 0.0000  8 Li 2.94
In 0.5000 0.0000 0.0000  8 Li 2.94
In 0.5000 0.5000 0.5000  8 Li 2.94

Output
The space group is Fm-3m. The energy comes out at -246.87 eV for the cell shown. The density is 6.226 g/cm³. As for the magnetic moment: 0.000 μB/atom.


A relaxed LiHoIn2 crystal. Source: Materials Project, functional r²SCAN.

a = 7.1890 Å, b = 7.1890 Å, c = 7.1890 Å
α = 90.00°, β = 90.00°, γ = 90.00°
With the nearest neighbours (Å) after each atom.
Atoms (fractional coordinates):
Li 0.0000 0.0000 0.0000  8 In 3.11
Li 0.0000 0.5000 0.5000  8 In 3.11
Li 0.5000 0.0000 0.5000  8 In 3.11
Li 0.5000 0.5000 0.0000  8 In 3.11
Ho 0.0000 0.0000 0.5000  8 In 3.11
Ho 0.0000 0.5000 0.0000  8 In 3.11
Ho 0.5000 0.0000 0.0000  8 In 3.11
Ho 0.5000 0.5000 0.5000  8 In 3.11
In 0.2500 0.2500 0.2500  4 Li 3.11, 4 Ho 3.11
In 0.2500 0.2500 0.7500  4 Li 3.11, 4 Ho 3.11
In 0.2500 0.7500 0.2500  4 Li 3.11, 4 Ho 3.11
In 0.2500 0.7500 0.7500  4 Ho 3.11, 4 Li 3.11
In 0.7500 0.2500 0.2500  4 Li 3.11, 4 Ho 3.11
In 0.7500 0.2500 0.7500  4 Ho 3.11, 4 Li 3.11
In 0.7500 0.7500 0.2500  4 Ho 3.11, 4 Li 3.11
In 0.7500 0.7500 0.7500  4 Li 3.11, 4 Ho 3.11

Output
The space group is Fm-3m. The energy comes out at -329.36 eV for the cell shown. The density is 7.178 g/cm³. As for the magnetic moment: 0.000 μB/atom.


A relaxed LiHo2In crystal. Source: Materials Project, functional r²SCAN.

a = 7.3959 Å, b = 7.3959 Å, c = 7.3959 Å
α = 90.00°, β = 90.00°, γ = 90.00°
With the nearest neighbours (Å) after each atom.
Atoms (fractional coordinates):
Li 0.0000 0.0000 0.0000  8 Ho 3.20
Li 0.0000 0.5000 0.5000  8 Ho 3.20
Li 0.5000 0.0000 0.5000  8 Ho 3.20
Li 0.5000 0.5000 0.0000  8 Ho 3.20
Ho 0.2500 0.2500 0.2500  4 In 3.20, 4 Li 3.20
Ho 0.2500 0.2500 0.7500  4 In 3.20, 4 Li 3.20
Ho 0.2500 0.7500 0.2500  4 In 3.20, 4 Li 3.20
Ho 0.2500 0.7500 0.7500  4 In 3.20, 4 Li 3.20
Ho 0.7500 0.2500 0.2500  4 In 3.20, 4 Li 3.20
Ho 0.7500 0.2500 0.7500  4 In 3.20, 4 Li 3.20
Ho 0.7500 0.7500 0.2500  4 In 3.20, 4 Li 3.20
Ho 0.7500 0.7500 0.7500  4 In 3.20, 4 Li 3.20
In 0.0000 0.0000 0.5000  8 Ho 3.20
In 0.0000 0.5000 0.0000  8 Ho 3.20
In 0.5000 0.0000 0.0000  8 Ho 3.20
In 0.5000 0.5000 0.5000  8 Ho 3.20

Output
The space group is Fm-3m. The energy comes out at -368.50 eV for the cell shown. The density is 7.415 g/cm³. As for the magnetic moment: 0.002 μB/atom.


A relaxed HoLuIn2 crystal. Source: Materials Project, functional r²SCAN.

a = 7.3942 Å, b = 7.3942 Å, c = 7.3942 Å
α = 90.00°, β = 90.00°, γ = 90.00°
With the nearest neighbours (Å) after each atom.
Atoms (fractional coordinates):
Ho 0.0000 0.0000 0.0000  8 In 3.20
Ho 0.0000 0.5000 0.5000  8 In 3.20
Ho 0.5000 0.0000 0.5000  8 In 3.20
Ho 0.5000 0.5000 0.0000  8 In 3.20
Lu 0.0000 0.0000 0.5000  8 In 3.20
Lu 0.0000 0.5000 0.0000  8 In 3.20
Lu 0.5000 0.0000 0.0000  8 In 3.20
Lu 0.5000 0.5000 0.5000  8 In 3.20
In 0.2500 0.2500 0.2500  4 Ho 3.20, 4 Lu 3.20
In 0.2500 0.2500 0.7500  4 Ho 3.20, 4 Lu 3.20
In 0.2500 0.7500 0.2500  4 Ho 3.20, 4 Lu 3.20
In 0.2500 0.7500 0.7500  4 Ho 3.20, 4 Lu 3.20
In 0.7500 0.2500 0.2500  4 Ho 3.20, 4 Lu 3.20
In 0.7500 0.2500 0.7500  4 Ho 3.20, 4 Lu 3.20
In 0.7500 0.7500 0.2500  4 Ho 3.20, 4 Lu 3.20
In 0.7500 0.7500 0.7500  4 Ho 3.20, 4 Lu 3.20

Output
The space group is Fm-3m. The energy comes out at -473.10 eV for the cell shown. The density is 9.357 g/cm³. As for the magnetic moment: 0.000 μB/atom.


A relaxed HoMgIn crystal. Source: Materials Project, functional r²SCAN.

a = 7.4685 Å, b = 7.4685 Å, c = 4.6447 Å
α = 90.00°, β = 90.00°, γ = 120.00°
With the nearest neighbours (Å) after each atom.
Atoms (fractional coordinates):
Ho 0.0000 0.5657 0.0000  5 In 3.21-3.24, 2 Mg 3.35
Ho 0.4343 0.4343 0.0000  5 In 3.21-3.24, 2 Mg 3.35
Ho 0.5657 0.0000 0.0000  5 In 3.21-3.24, 2 Mg 3.35
Mg 0.0000 0.2425 0.5000  4 In 2.89-2.95, 2 Mg 3.14
Mg 0.2425 0.0000 0.5000  4 In 2.89-2.95, 2 Mg 3.14
Mg 0.7575 0.7575 0.5000  4 In 2.89-2.95, 2 Mg 3.14
In 0.0000 0.0000 0.0000  6 Mg 2.95, 3 Ho 3.24
In 0.3333 0.6667 0.5000  3 Mg 2.89, 6 Ho 3.21
In 0.6667 0.3333 0.5000  3 Mg 2.89, 6 Ho 3.21

Output
The space group is P-62m. The energy comes out at -183.32 eV for the cell shown. The density is 6.751 g/cm³. As for the magnetic moment: 0.000 μB/atom.